Material: Li4V3CrO8
Method: DFT, PBE+U
State: relaxed

Values from the calculation:
MP2020-corrected energy   -123.49 eV per cell
Space group   P-1 (2)
Energy above the lowest structure with this stoichiometry   0.11 eV/f.u.

The structure in POSCAR format:
```
Li4V3CrO8
1.0
1.4865 0.8574 4.8924
5.9470 0.0004 -0.0006
-2.9732 5.1520 -0.0009
V O Li Cr
3 8 4 1
Direct
0.5000 0.0000 0.2500
0.5000 0.0000 0.7500
0.5000 0.5000 0.7500
0.7300 0.7544 0.3758
0.7310 0.2593 0.3787
0.2700 0.2457 0.1242
0.2689 0.7407 0.1213
0.7305 0.2562 0.8808
0.2694 0.7438 0.6193
0.2732 0.2423 0.6208
0.7268 0.7577 0.8792
0.0011 0.9961 0.4976
0.0002 0.4999 0.0051
0.9998 0.5001 0.4949
0.9988 0.0039 0.0024
0.5000 0.4998 0.2499
```

=====

Material: Li3VCr3O8
Method: DFT, PBE+U
State: relaxed

Values from the calculation:
MP2020-corrected energy   -238.58 eV per cell
Space group   C2 (5)
Energy above the lowest structure with this stoichiometry   0.00 eV/f.u.

The structure in POSCAR format:
```
Li3VCr3O8
1.0
0.1966 5.9385 0.1130
1.3522 0.1098 -10.2191
-5.1278 -2.8348 0.9868
O Cr Li V
16 6 6 2
Direct
0.1251 0.8592 0.7341
0.4010 0.1339 0.2817
0.3492 0.6339 0.7324
0.6488 0.3658 0.2679
0.3757 0.6407 0.2666
0.0988 0.3662 0.7155
0.6258 0.3593 0.7350
0.8889 0.6284 0.7425
0.3881 0.1283 0.7418
0.5980 0.8656 0.7140
0.6134 0.8717 0.2596
0.8483 0.1344 0.7322
0.1139 0.3716 0.2603
0.8749 0.1407 0.2659
0.1480 0.8661 0.2673
0.9018 0.6342 0.2829
0.7506 0.7493 0.4997
0.2505 0.7507 0.0015
0.7505 0.2507 0.0013
0.2508 0.2492 0.4997
0.4973 0.0000 0.4973
0.9983 0.5000 0.4983
0.7506 0.7501 0.0005
0.9994 0.9995 0.4994
0.2504 0.2499 0.0005
0.4996 0.4999 0.5008
0.4998 0.0005 0.9999
0.0009 0.5001 0.9998
0.2505 0.7498 0.5007
0.7510 0.2502 0.5008
```

=====

Material: LiVCrO4
Method: DFT, PBE+U
State: relaxed

Values from the calculation:
MP2020-corrected energy   -114.22 eV per cell
Space group   Imma (74)
Energy above the lowest structure with this stoichiometry   0.55 eV/f.u.

The structure in POSCAR format:
```
LiVCrO4
1.0
3.0293 5.0050 -0.0880
3.0293 1.5854 4.7481
3.0293 -1.5853 -4.7481
O Cr V Li
8 2 2 2
Direct
0.7333 0.5208 0.2459
0.7512 0.4992 0.7480
0.2667 0.4792 0.7541
0.2748 0.9792 0.2459
0.2488 0.5008 0.2520
0.7512 0.0008 0.2496
0.2488 0.9992 0.7504
0.7252 0.0208 0.7541
0.5000 0.0000 0.5000
0.5000 0.5000 0.0000
0.8671 0.7500 0.8829
0.1328 0.2500 0.1172
0.0000 0.0000 0.5000
0.5000 0.5000 0.5000
```

=====

Material: Li2VCr3O8
Method: DFT, PBE+U
State: relaxed

Values from the calculation:
MP2020-corrected energy   -228.79 eV per cell
Piezoelectric modulus e_max   1.92 C/m2
Space group   Cmc2_1 (36)
Energy above the lowest structure with this stoichiometry   0.47 eV/f.u.

The structure in POSCAR format:
```
Li2VCr3O8
1.0
5.9070 0.0136 0.0000
-2.9417 5.1224 0.0000
-0.0001 0.0000 9.3859
O Cr Li V
16 6 4 2
Direct
0.5223 0.0440 0.8471
0.3491 0.1744 0.0909
0.8256 0.1744 0.0912
0.5229 0.4771 0.8452
0.0000 0.0000 0.3062
0.9560 0.4777 0.8471
0.0439 0.5223 0.3471
0.1744 0.3491 0.5909
0.0000 0.0000 0.8062
0.4771 0.5229 0.3452
0.3342 0.6659 0.1035
0.4777 0.9561 0.3471
0.1744 0.8256 0.5912
0.6658 0.3342 0.6035
0.6509 0.8256 0.5909
0.8256 0.6509 0.0909
0.1713 0.3440 0.2152
0.6560 0.8287 0.2152
0.8270 0.1730 0.7154
0.8287 0.6560 0.7152
0.1730 0.8270 0.2154
0.3440 0.1713 0.7152
0.3334 0.6666 0.8983
0.0002 0.9998 0.9934
0.6666 0.3334 0.3983
0.9998 0.0002 0.4934
0.6666 0.3334 0.9944
0.3334 0.6666 0.4944
```

=====

Material: Li4V3CrO8
Method: DFT, PBE+U
State: relaxed

Values from the calculation:
MP2020-corrected energy   -247.01 eV per cell
Space group   P-1 (2)
Energy above the lowest structure with this stoichiometry   0.10 eV/f.u.

The structure in POSCAR format:
```
Li4V3CrO8
1.0
5.1857 0.0000 0.0000
2.5830 7.4772 0.0000
0.8597 0.9095 7.8208
O V Li Cr
16 6 8 2
Direct
0.2726 0.9016 0.7777
0.7315 0.8477 0.9662
0.2698 0.5292 0.9047
0.7274 0.0984 0.2223
0.7263 0.6020 0.7190
0.2743 0.6528 0.5311
0.2711 0.7774 0.1550
0.7258 0.9735 0.5920
0.7257 0.3472 0.4689
0.7289 0.2226 0.8450
0.7252 0.7243 0.3451
0.2742 0.0265 0.4080
0.2748 0.2757 0.6550
0.2737 0.3980 0.2810
0.2685 0.1523 0.0338
0.7302 0.4708 0.0953
0.4988 0.9373 0.1877
0.5003 0.6878 0.9370
0.4997 0.3122 0.0630
0.5012 0.0627 0.8123
0.4993 0.4376 0.6880
0.5007 0.5624 0.3120
0.0008 0.2489 0.2520
0.0002 0.6242 0.1243
0.9992 0.7511 0.7480
0.0000 0.5000 0.5000
0.0016 0.1237 0.6231
0.9984 0.8763 0.3769
0.0000 0.0000 0.0000
0.9998 0.3758 0.8757
0.4997 0.1864 0.4380
0.5003 0.8136 0.5620
```

=====

Material: Li3VCr3O8
Method: DFT, PBE+U
State: relaxed

Values from the calculation:
MP2020-corrected energy   -119.08 eV per cell
Space group   C2/m (12)
Energy above the lowest structure with this stoichiometry   0.22 eV/f.u.

The structure in POSCAR format:
```
Li3VCr3O8
1.0
2.0910 -2.6733 4.8731
4.1635 -4.2165 -0.3906
5.5369 1.1557 1.8412
Li O V Cr
3 8 1 3
Direct
0.5000 0.5000 0.5000
0.5000 0.0000 0.5000
0.0000 0.5000 0.5000
0.7655 0.2545 0.2161
0.2345 0.7455 0.7839
0.7334 0.7334 0.7859
0.2666 0.2666 0.2141
0.7455 0.2345 0.7839
0.2545 0.7655 0.2161
0.7619 0.7619 0.2249
0.2381 0.2381 0.7751
0.0000 0.0000 0.0000
0.0000 0.5000 0.0000
0.5000 0.5000 0.0000
0.5000 0.0000 0.0000
```

=====

Material: LiV3CrO8
Method: DFT, PBE+U
State: relaxed

Values from the calculation:
MP2020-corrected energy   -218.59 eV per cell
Space group   P1 (1)

The structure in POSCAR format:
```
LiV3CrO8
1.0
-2.8095 -3.8265 2.4698
5.7331 -1.8612 -0.2589
1.2755 7.3322 7.3457
O V Li Cr
16 6 2 2
Direct
0.8733 0.0932 0.5572
0.3805 0.8650 0.0735
0.4003 0.7694 0.6870
0.6291 0.6400 0.9387
0.8974 0.5342 0.1993
0.6030 0.2152 0.3030
0.0978 0.9704 0.8003
0.8614 0.6125 0.5621
0.6339 0.1513 0.9421
0.3664 0.3527 0.0609
0.9084 0.0196 0.1928
0.1168 0.3934 0.4311
0.0949 0.4805 0.8128
0.5993 0.7297 0.3025
0.3980 0.2796 0.7002
0.1368 0.8883 0.4348
0.6386 0.6944 0.1223
0.1699 0.9462 0.6234
0.3310 0.3057 0.8800
0.8489 0.5504 0.3804
0.8686 0.0648 0.3816
0.6570 0.1918 0.1185
0.2518 0.8772 0.2469
0.7452 0.6261 0.7480
0.1275 0.4375 0.6242
0.3642 0.8108 0.8766
```

=====

Material: Li4V5Cr4O18
Method: DFT, PBE+U
State: relaxed

Values from the calculation:
MP2020-corrected energy   -508.76 eV per cell
Space group   Pbam (55)

The structure in POSCAR format:
```
Li4V5Cr4O18
1.0
-1.5070 0.1355 -2.5715
-4.3998 -7.4119 2.1879
-17.5505 13.6667 11.0053
O V Li Cr
36 10 8 8
Direct
0.0000 0.5909 0.7445
0.0000 0.0001 0.5772
0.0000 0.3022 0.5841
0.0000 0.6978 0.4159
0.0000 0.1872 0.8554
0.0000 0.9091 0.2445
0.5000 0.6198 0.8356
0.5000 0.4361 0.4432
0.5000 0.4528 0.6600
0.5000 0.5472 0.3400
0.0000 0.1978 0.0841
0.5000 0.8802 0.3356
0.0000 0.9999 0.4228
0.0000 0.6872 0.6446
0.5000 0.0639 0.9432
0.0000 0.5001 0.9228
0.0000 0.8022 0.9159
0.5000 0.3802 0.1644
0.5000 0.6516 0.2131
0.0000 0.4999 0.0772
0.5000 0.0472 0.1600
0.5000 0.1198 0.6644
0.5000 0.3484 0.7869
0.5000 0.3491 0.0039
0.5000 0.5639 0.5568
0.0000 0.8128 0.1446
0.5000 0.8491 0.4961
0.0000 0.0909 0.7555
0.5000 0.9361 0.0568
0.0000 0.4091 0.2555
0.5000 0.1516 0.2869
0.5000 0.9528 0.8400
0.5000 0.1509 0.5039
0.0000 0.3128 0.3554
0.5000 0.8484 0.7131
0.5000 0.6509 0.9961
0.5000 0.6417 0.6974
0.5000 0.3583 0.3026
0.0000 0.0000 0.5000
0.0000 0.0080 0.8974
0.0000 0.4920 0.3974
0.0000 0.5000 0.0000
0.0000 0.9920 0.1026
0.5000 0.8583 0.1974
0.5000 0.1417 0.8026
0.0000 0.5080 0.6026
0.0000 0.2072 0.1904
0.0000 0.1799 0.9905
0.0000 0.2928 0.6904
0.0000 0.6799 0.5095
0.0000 0.3201 0.4905
0.0000 0.7072 0.3096
0.0000 0.8201 0.0095
0.0000 0.7928 0.8096
0.5000 0.3485 0.0858
0.0000 0.0178 0.3128
0.5000 0.1515 0.5858
0.0000 0.9822 0.6872
0.0000 0.5178 0.1872
0.5000 0.6515 0.9142
0.0000 0.4822 0.8128
0.5000 0.8485 0.4142
```

=====

Material: Li4V5Cr2O12
Method: DFT, PBE+U
State: relaxed

Values from the calculation:
MP2020-corrected energy   -373.13 eV per cell
Space group   P2_1 (4)

The structure in POSCAR format:
```
Li4V5Cr2O12
1.0
9.1487 0.0000 0.0000
0.0000 5.1108 0.0000
0.0000 2.0545 9.7130
O V Li Cr
24 10 8 4
Direct
0.3939 0.8799 0.6218
0.3979 0.3677 0.1239
0.2540 0.8520 0.1124
0.8995 0.8797 0.1107
0.2705 0.1368 0.3855
0.0917 0.8656 0.6150
0.8939 0.1201 0.3782
0.4035 0.6180 0.3809
0.0889 0.3714 0.1184
0.7616 0.6285 0.3754
0.2616 0.3715 0.6246
0.7503 0.3720 0.1210
0.7705 0.8632 0.6145
0.0956 0.6154 0.3814
0.5956 0.3846 0.6186
0.0934 0.1336 0.8773
0.5917 0.1344 0.3850
0.3995 0.1203 0.8893
0.5889 0.6286 0.8816
0.7540 0.1480 0.8876
0.2503 0.6280 0.8790
0.9035 0.3820 0.6191
0.5934 0.8664 0.1227
0.8979 0.6323 0.8761
0.2411 0.4900 0.2592
0.7489 0.9968 0.2549
0.4269 0.2507 0.5070
0.9269 0.7493 0.4930
0.2489 0.0032 0.7451
0.7411 0.5100 0.7408
0.5746 0.2543 0.0046
0.9213 0.2622 0.0028
0.0746 0.7457 0.9954
0.4213 0.7378 0.9972
0.9219 0.4960 0.2562
0.5815 0.7594 0.5022
0.0857 0.4945 0.7379
0.0815 0.2406 0.4978
0.4219 0.5040 0.7438
0.5857 0.5055 0.2621
0.9139 0.0055 0.7388
0.4139 0.9945 0.2612
0.7498 0.2468 0.5026
0.2456 0.2399 0.0046
0.7456 0.7601 0.9954
0.2498 0.7532 0.4974
```

=====

Material: Li4V3Cr3W2O16
Method: DFT, PBE+U
State: relaxed

Values from the calculation:
MP2020-corrected energy   -235.69 eV per cell
Space group   Cm (8)

The structure in POSCAR format:
```
Li4V3Cr3W2O16
1.0
2.9915 5.1869 0.0000
-2.9915 5.1869 0.0000
0.0000 0.0152 9.7162
W O V Cr Li
2 16 3 3 4
Direct
0.3324 0.3324 0.0130
0.6663 0.6663 0.5136
0.3388 0.8322 0.4048
0.4776 0.4776 0.1509
0.9587 0.5181 0.6547
0.8336 0.8336 0.4070
0.8322 0.3388 0.4048
0.4782 0.0369 0.1569
0.9998 0.9998 0.1916
0.1702 0.6666 0.9046
0.6670 0.6670 0.8917
0.5181 0.9587 0.6547
0.9998 0.9998 0.6938
0.3338 0.3338 0.3928
0.0369 0.4782 0.1569
0.1707 0.1707 0.9051
0.5191 0.5191 0.6595
0.6666 0.1702 0.9046
0.8307 0.8307 0.7871
0.6611 0.1671 0.2872
0.1671 0.6611 0.2872
0.3389 0.8278 0.7864
0.1694 0.1694 0.2852
0.8278 0.3389 0.7864
0.0004 0.0004 0.0069
0.3329 0.3329 0.6000
0.6657 0.6657 0.0971
0.0018 0.0018 0.5080
```

=====

Material: Li4VCrW2O12
Method: DFT, PBE+U
State: relaxed

Values from the calculation:
MP2020-corrected energy   -316.05 eV per cell

The structure in POSCAR format:
```
Li4VCrW2O12
1.0
-3.0876 -6.7550 0.7695
6.7361 -2.3847 2.2090
2.6314 3.5486 7.6911
O Li V Cr W
24 8 2 2 4
Direct
0.7943 0.5261 0.0655
0.8164 0.5645 0.7499
0.5459 0.2623 0.9520
0.7319 0.9566 0.5628
0.7839 0.5258 0.4425
0.2839 0.0259 0.4425
0.2319 0.4566 0.5628
0.9856 0.2181 0.4462
0.0358 0.7677 0.5642
0.6988 0.9173 0.2630
0.2942 0.0261 0.0654
0.7259 0.9572 0.9519
0.3165 0.0645 0.7499
0.4310 0.6812 0.7494
0.9714 0.2195 0.0610
0.1988 0.4173 0.2630
0.0893 0.7934 0.2628
0.4715 0.7196 0.0610
0.2259 0.4569 0.9523
0.5358 0.2677 0.5642
0.0459 0.7622 0.9520
0.5893 0.2935 0.2628
0.9309 0.1812 0.7494
0.4856 0.7182 0.4459
0.3183 0.6794 0.2134
0.1920 0.8047 0.7966
0.8320 0.6775 0.2163
0.3319 0.1775 0.2162
0.1718 0.3214 0.7867
0.6920 0.3046 0.7966
0.6718 0.8214 0.7867
0.8184 0.1794 0.2134
0.2311 0.2705 0.4878
0.7310 0.7706 0.4879
0.0095 0.9903 0.0064
0.5097 0.4902 0.0066
0.7466 0.2636 0.5035
0.2466 0.7635 0.5036
0.9954 0.4962 0.9893
0.4954 0.9963 0.9893
```

=====

no.,ΔE_f (eV per atom)
1,-2.46
2,-2.40
3,-2.38
4,-2.35
5,-2.46
6,-2.38
7,-2.38
8,-2.38
9,-2.38
10,-2.38
11,-2.32